A plane-wave DFT calculation with PBE was carried out for crystalline TbYTl2 at its relaxed geometry.

Cell and atoms, written as CIF:
```
data_TbYTl2
_chemical_formula_sum 'Tb4 Y4 Tl8'
_symmetry_space_group_name_H-M 'F m -3 m'
_symmetry_Int_Tables_number 225
_symmetry_space_group_name_Hall '-F 4 2 3'
_cell_length_a 7.6111
_cell_length_b 7.6111
_cell_length_c 7.6111
_cell_angle_alpha 90.00
_cell_angle_beta 90.00
_cell_angle_gamma 90.00
loop_
_atom_site_label
_atom_site_fract_x
_atom_site_fract_y
_atom_site_fract_z
Tb1 0.0000 0.0000 0.0000
Y1 0.0000 0.0000 0.5000
Tl1 0.2500 0.2500 0.2500
```

***

A plane-wave DFT calculation with PBE was carried out for crystalline HfMg6BiO8 at its relaxed geometry.

Properties
MP2020-corrected energy   -6.3552 eV/atom
Relative energy among the computed polymorphs   0 meV per atom

Cell and atoms, written as CIF:
```
data_HfMg6BiO8
_chemical_formula_sum 'Hf1 Mg6 Bi1 O8'
_symmetry_space_group_name_H-M 'P 4/m m m'
_symmetry_Int_Tables_number 123
_symmetry_space_group_name_Hall '-P 4 2'
_cell_length_a 4.4038
_cell_length_b 4.4038
_cell_length_c 10.4669
_cell_angle_alpha 90.00
_cell_angle_beta 90.00
_cell_angle_gamma 90.00
loop_
_atom_site_label
_atom_site_fract_x
_atom_site_fract_y
_atom_site_fract_z
Hf1 0.0000 0.0000 0.0000
Mg1 0.0000 0.5000 0.2685
Mg2 0.5000 0.5000 0.0000
Mg3 0.5000 0.5000 0.5000
Bi1 0.0000 0.0000 0.5000
O1 0.0000 0.0000 0.1960
O2 0.0000 0.5000 0.0000
O3 0.0000 0.5000 0.5000
O4 0.5000 0.5000 0.2872
```

***

A plane-wave DFT calculation with PBE was carried out for crystalline Ca4Cu5O10 at its relaxed geometry.

Properties
MP2020-corrected energy   -6.0802 eV/atom

Cell and atoms, written as CIF:
```
data_Ca4Cu5O10
_chemical_formula_sum 'Ca16 Cu20 O40'
_symmetry_space_group_name_H-M 'C m c e'
_symmetry_Int_Tables_number 64
_symmetry_space_group_name_Hall '-C 2ac 2'
_cell_length_a 10.6772
_cell_length_b 13.9497
_cell_length_c 6.5124
_cell_angle_alpha 90.00
_cell_angle_beta 90.00
_cell_angle_gamma 90.00
loop_
_atom_site_label
_atom_site_fract_x
_atom_site_fract_y
_atom_site_fract_z
Ca1 0.2500 0.0652 0.2500
Ca2 0.2500 0.1891 0.7500
Cu1 0.0000 0.0000 0.0000
Cu2 0.0000 0.1025 0.4802
Cu3 0.0000 0.2023 0.9657
O1 0.1162 0.0000 0.5000
O2 0.1198 0.0970 0.9674
O3 0.1270 0.1972 0.4447
```

***

| no. | formation energy from the elements (eV per atom) |
| --- | --- |
| 1 | -0.364 |
| 2 | -2.416 |
| 3 | -1.975 |